[1]
CaLaGaO4 | PBE | relaxed

Cell lengths 5.3925, 6.8932, 11.9056 Å; angles 90.00, 90.00, 90.00 degrees
Element x y z (fractional)
1 Ga 0.4331 0.7500 0.0900
2 Ga 0.5669 0.2500 0.9100
3 Ga 0.0669 0.7500 0.5900
4 Ga 0.9331 0.2500 0.4100
5 La 0.5071 0.7500 0.7794
6 La 0.4929 0.2500 0.2206
7 La 0.9929 0.7500 0.2794
8 La 0.0071 0.2500 0.7206
9 Ca 0.5000 0.5000 0.5000
10 Ca 0.0000 0.5000 0.0000
11 Ca 0.0000 0.0000 0.0000
12 Ca 0.5000 0.0000 0.5000
13 O 0.7293 0.0408 0.8374
14 O 0.7232 0.2500 0.0506
15 O 0.2254 0.2500 0.9080
16 O 0.2232 0.7500 0.4494
17 O 0.2707 0.5408 0.1626
18 O 0.2293 0.9592 0.6626
19 O 0.2293 0.5408 0.6626
20 O 0.7707 0.4592 0.3374
21 O 0.7254 0.7500 0.5920
22 O 0.2707 0.9592 0.1626
23 O 0.7707 0.0408 0.3374
24 O 0.7293 0.4592 0.8374
25 O 0.7746 0.7500 0.0920
26 O 0.2746 0.2500 0.4080
27 O 0.7768 0.2500 0.5506
28 O 0.2768 0.7500 0.9494

Properties
The MP2020-corrected energy comes out at -0.5495 Ry/atom. The calculated formation energy comes out at -3.224 eV per atom. The calculated volume comes out at 111 Å³/f.u.



[2]
CaLaGa3O7 | PBE | relaxed

Cell lengths 8.0279, 8.0279, 5.3146 Å; angles 90.00, 90.00, 91.06 degrees
Element x y z (fractional)
1 Ca 0.6598 0.6598 0.4856
2 Ca 0.3402 0.3402 0.4856
3 O 0.5000 0.5000 0.7961
4 O 0.1594 0.5923 0.7916
5 O 0.8406 0.4077 0.7916
6 O 0.5923 0.1594 0.7916
7 O 0.0886 0.3388 0.2130
8 O 0.3388 0.0886 0.2130
9 O 0.6612 0.9114 0.2130
10 O 0.9114 0.6612 0.2130
11 O 0.0000 0.0000 0.1972
12 O 0.4077 0.8406 0.7916
13 O 0.8619 0.8619 0.6920
14 O 0.6428 0.3572 0.3058
15 O 0.1381 0.1381 0.6920
16 O 0.3572 0.6428 0.3058
17 Ga 0.8521 0.8521 0.0339
18 Ga 0.6408 0.3592 0.9644
19 Ga 0.1479 0.1479 0.0339
20 Ga 0.3592 0.6408 0.9644
21 Ga 0.0000 0.5000 0.0051
22 Ga 0.5000 0.0000 0.0051
23 La 0.1645 0.8355 0.5074
24 La 0.8355 0.1645 0.5074

Properties
The MP2020-corrected energy comes out at -0.5193 Ry/atom. The calculated formation energy comes out at -2.844 eV per atom. The calculated volume comes out at 171 Å³/f.u.



[3]
CaLaGa3S7 | PBE | relaxed

Cell lengths 6.2555, 9.6572, 9.6641 Å; angles 90.00, 90.00, 89.69 degrees
Element x y z (fractional)
1 Ga 0.0434 0.6492 0.8503
2 Ga 0.9589 0.1506 0.6502
3 Ga 0.0411 0.3494 0.1502
4 Ga 0.9997 0.0032 0.9998
5 Ga 0.0003 0.4968 0.4998
6 Ga 0.9566 0.8508 0.3503
7 S 0.2080 0.4976 0.9976
8 S 0.2387 0.4208 0.3392
9 S 0.7613 0.0792 0.8392
10 S 0.6867 0.3612 0.1421
11 S 0.3133 0.1388 0.6421
12 S 0.2355 0.1585 0.0839
13 S 0.2380 0.8401 0.9205
14 S 0.7645 0.3415 0.5839
15 S 0.7620 0.6599 0.4205
16 S 0.3119 0.8557 0.3585
17 S 0.7650 0.9155 0.1576
18 S 0.2350 0.5845 0.6576
19 S 0.7920 0.0024 0.4976
20 S 0.6881 0.6443 0.8585
21 La 0.5136 0.6528 0.1557
22 La 0.4864 0.8472 0.6557
23 Ca 0.5137 0.3418 0.8445
24 Ca 0.4863 0.1582 0.3445

Properties
The MP2020-corrected energy comes out at -0.3882 Ry/atom. The calculated formation energy comes out at -1.534 eV per atom. The calculated volume comes out at 292 Å³/f.u.



Among the records above, which one has the lowest calculated formation energy? CaLaGaO4